Entry one
A relaxed structure of NaMnPCO7, computed with PBE with a Hubbard U.

The structure in extended XYZ format:
```
44
Lattice="-9.0175 0.1148 -0.1630 -0.1643 6.2611 -5.2610 0.0060 -6.2787 -5.2868" Properties=species:S:1:pos:R:3 pbc="T T T"
O -6.1167 0.4128 -1.3743
O -7.4306 -1.5783 -2.5530
P -5.2341 1.6286 -6.8184
O -1.6896 1.6096 -2.8719
Na -2.1628 -0.1137 -1.2752
O -0.5339 -1.6162 -1.5905
P -4.0113 -1.4872 -9.1390
O -3.1145 -0.2727 -9.5027
O -3.8892 -4.6968 -6.0755
O -1.6825 1.5995 -8.1541
O -1.2590 -4.6449 -5.0563
C -0.7974 1.5734 -3.8445
C -8.4097 -1.4939 -6.8399
O -8.6008 1.6286 -9.1527
O -3.0967 3.5818 -4.1533
O -3.0266 -0.2686 -4.2161
O -6.1195 2.8361 -6.4010
Na -2.2658 -0.1273 -6.6091
O -3.9174 1.5912 -5.9947
O -8.5832 1.6068 -3.8346
P -3.9278 -1.4956 -3.8678
O -1.3813 1.6332 -5.0213
P -5.1788 1.6308 -1.6148
O -4.2781 -1.4394 -2.3465
Mn -5.9912 -1.5091 -6.5285
Mn -3.1878 1.6813 -4.1915
O -7.7992 -1.5115 -5.6705
O -5.3157 4.7597 -4.6801
O -0.6120 -1.6019 -6.8509
O -5.2304 -1.4838 -4.6921
O -6.1399 0.4194 -6.4218
O -7.8882 4.7040 -5.6682
C -0.8040 1.5727 -9.1517
Mn -3.0881 -4.5865 -4.1851
O -6.0773 -3.4203 -6.6355
O -4.3596 -1.4182 -7.6178
C -8.3326 -1.5502 -1.5778
Na -6.9672 0.0414 -4.0896
O -7.5094 -1.4852 -7.8167
Mn -6.0792 4.7662 -6.5236
O -3.0143 -2.6903 -4.1995
O -4.8520 1.6309 -3.1674
Na -7.0143 3.2131 -4.0730
O -4.8611 1.6267 -8.3088
```

Results
Total magnetic moment (Bohr magnetons per cell): 12.003
Space group: P1, No. 1


Entry two
A relaxed structure of NaMnPCO7, computed with PBE with a Hubbard U.

The structure in extended XYZ format:
```
44
Lattice="6.2482 0.0000 0.0000 0.0000 5.2462 0.0000 0.0000 0.7933 18.3460" Properties=species:S:1:pos:R:3 pbc="T T T"
Mn 1.4577 1.3983 6.0115
O 5.9611 1.7526 15.2767
O 1.5439 4.8144 5.2646
O 1.6114 1.0025 17.0096
O 4.7337 3.2961 10.8865
O 4.6984 4.4144 17.9132
C 1.5334 1.8008 8.4001
O 4.7355 5.4337 10.5094
C 1.5906 2.1974 17.5731
O 0.2870 4.2869 3.0693
O 1.5802 5.2110 14.4376
O 1.6096 3.1401 16.6325
O 4.6680 0.8285 3.9085
O 4.6386 2.8994 1.7135
O 4.6738 4.0178 8.7402
C 4.6575 3.8421 0.7729
P 1.6257 4.3593 13.1619
C 4.7147 4.2388 9.9459
Mn 1.6663 1.7950 15.1845
P 4.7498 2.0769 14.3571
O 1.5126 0.6058 7.8366
Na 6.0735 4.6788 16.1565
O 1.6723 2.8533 13.5457
Na 2.9494 1.7575 11.3625
Na 3.2987 4.2821 6.9835
O 1.5498 1.6251 0.4328
Na 0.1747 1.3608 2.1895
P 1.4983 3.9627 3.9889
O 0.4352 4.6504 12.2219
O 4.7043 1.2252 13.0815
O 2.6888 4.2537 3.0489
O 4.6367 5.0370 1.3364
Mn 4.5818 4.2446 3.1615
O 1.5743 2.0218 9.6058
P 4.6224 1.6802 5.1841
O 5.8129 1.3892 6.1241
Mn 4.7904 4.6413 12.3345
O 4.7963 3.5829 13.9733
O 3.4111 1.3560 6.1037
O 3.5593 1.7858 15.2971
O 1.4518 2.4567 4.3727
O 2.8371 4.6836 12.2423
O 4.5759 3.1862 4.8003
O 1.5145 2.7435 7.4595
```

Results
Total magnetic moment (Bohr magnetons per cell): 11.999
Space group: P2_1/c, No. 14


Entry three
A relaxed structure of NaMnPCO7, computed with PBE with a Hubbard U.

The structure in extended XYZ format:
```
22
Lattice="5.1585 0.0000 0.0000 -0.1721 6.1914 0.0000 -0.2628 -0.2928 9.4272" Properties=species:S:1:pos:R:3 pbc="T T T"
O 1.4330 1.2120 9.1646
O 1.0258 5.6920 3.0647
O 2.0221 1.4308 4.9489
O 0.6714 3.3102 3.3885
O 2.3452 1.6274 1.9077
O 4.3492 1.0449 4.0297
O 0.2310 1.3990 1.4696
O 2.7014 4.4678 4.4784
O 4.4926 4.4997 7.9576
O 0.3744 4.8537 5.3976
P 3.5314 1.3430 5.2992
Na 3.6306 5.8031 2.1685
Na 1.0930 0.0955 7.2587
C 1.4367 1.5154 0.9378
O 4.0521 2.5884 6.0387
O 3.6977 0.2066 6.3625
O 2.3784 4.2712 7.5196
Mn 3.7456 4.4675 6.1238
Mn 0.9780 1.4311 3.3034
C 3.2869 4.3833 8.4894
O 3.2906 4.6866 0.2627
P 1.1922 4.5556 4.1281
```

Results
Total magnetic moment (Bohr magnetons per cell): 6.000
Space group: P-1, No. 2


Entry four
A relaxed structure of NaMnPCO7, computed with PBE with a Hubbard U.

The structure in extended XYZ format:
```
44
Lattice="-4.2037 1.7068 6.7179 6.4933 -3.6735 3.2148 3.1830 8.9661 -4.0387" Properties=species:S:1:pos:R:3 pbc="T T T"
O 6.5225 1.3133 1.2260
O -0.0111 3.0957 5.0235
O 2.4718 7.5043 1.4622
O 5.4836 3.9038 0.8705
Na 1.1272 1.8273 1.5309
O 0.2038 6.6581 2.7249
O 3.3072 2.5822 0.6519
O 0.8896 3.0017 -0.6246
C 2.4684 -0.7710 3.2684
C 3.0042 7.7705 2.6256
P 6.6824 0.7151 2.6599
O 5.2688 0.3414 3.1692
O 7.7519 4.7751 -0.2730
C 8.2791 5.0963 0.9028
O 1.2001 4.0289 2.9522
O 5.0238 7.1833 -1.0694
O 3.8790 -0.8011 7.3443
O 2.0159 2.0257 4.2637
O 0.4488 -0.1838 6.9634
O 1.5935 7.8005 -1.4503
O 4.5232 1.6193 5.5720
O 3.4567 4.9737 1.6303
P -1.2099 6.2843 3.2342
Mn -1.6487 4.0066 5.4470
Na 5.4498 5.0291 -1.3244
Mn 7.1213 2.9929 0.4471
Mn 3.7212 1.2505 3.8406
Na 4.3454 5.1721 4.3632
Na 0.0228 1.9704 7.2185
O -2.2793 2.2244 6.1671
C -2.8065 1.9031 4.9912
Mn 1.7514 5.7490 2.0534
O 3.0007 -0.5049 4.4319
O 2.7089 0.2324 2.4149
O -1.0499 5.6861 4.6681
O 2.7636 6.7671 3.4792
O 4.5829 3.9977 6.5187
O 0.9494 5.3801 0.3221
O 2.1653 4.4173 5.2422
O -0.8068 0.8591 1.9720
P 1.3629 3.4234 4.3738
O 4.2725 2.9705 2.9419
P 4.1097 3.5761 1.5203
O 6.2793 6.1403 3.9221
```

Results
Total magnetic moment (Bohr magnetons per cell): 12.003
Space group: P-1, No. 2


Question: of the structures shown, which is the least stable? Reply: entry one.